# 1
NaZr2Al2P3S3O24 | PBE | relaxed

```
105
Lattice="8.663 -0.007 0.032 -4.338 7.512 -0.009 0.084 0.020 22.391" Properties=species:S:1:pos:R:3 pbc="T T T"
O -0.661 3.605 5.780
O -0.968 3.836 19.259
O -0.898 6.448 21.712
O 2.885 2.741 9.507
O 2.821 2.374 0.563
O 1.107 1.249 2.000
O -0.808 6.216 5.849
O 5.922 2.311 11.867
O 3.837 5.889 13.200
O 7.595 1.292 13.225
O 3.756 1.128 14.293
O 7.573 1.412 6.814
O 5.034 3.853 16.574
O 0.758 3.527 10.596
O -1.519 4.711 8.090
O 4.975 5.904 18.012
O 3.765 3.944 11.857
O 3.847 1.080 20.645
O 1.506 5.078 5.836
O 5.165 1.215 16.577
O 4.897 5.876 1.982
O 0.725 1.671 15.603
O 2.804 2.723 3.132
O 3.256 6.134 4.384
O -1.614 5.156 10.585
O 3.472 3.757 14.302
O -3.361 6.103 9.152
O -1.475 5.119 17.025
O 3.698 3.840 5.407
O 4.941 1.116 3.171
O 2.657 7.248 15.591
O -0.521 6.682 12.961
O 0.774 3.607 17.033
O 3.438 6.099 20.364
O 5.920 2.658 14.308
O 0.698 1.539 9.123
O -0.655 1.664 4.410
O 3.427 3.706 20.649
O 5.354 3.614 9.538
O -1.676 4.720 1.807
O 1.735 0.373 13.212
O 5.014 3.941 0.650
O 0.909 6.243 17.128
O 3.559 1.216 5.430
O 1.767 0.244 6.823
O -0.493 6.592 19.310
O 1.084 3.826 8.104
O 1.751 4.712 12.989
O 4.901 1.065 9.537
O 1.060 3.740 1.771
O 5.851 2.789 20.703
O 1.705 4.733 19.313
O 5.287 1.225 0.603
O 7.002 0.324 18.013
O 1.013 6.437 10.566
O 1.785 5.160 21.719
O -0.649 3.559 21.751
O 5.266 3.761 3.121
O -3.215 6.171 15.557
O 2.642 7.422 9.177
O 7.034 0.277 2.081
O -2.560 7.390 20.308
O 2.835 2.437 16.561
O -1.083 3.695 12.977
O -0.646 1.561 20.282
O 1.217 1.394 17.950
O 3.461 1.289 11.850
O 0.581 6.609 8.161
O 0.525 6.560 1.804
O 3.689 5.895 6.833
O -2.580 7.235 4.370
O 5.911 2.436 5.435
Al 4.236 2.459 4.207
Al -0.047 5.031 18.178
Al 4.481 2.458 22.000
Al 4.335 2.548 10.647
Al 4.430 2.502 15.447
Al 0.037 4.977 7.051
S 2.572 4.893 20.492
S 3.214 4.536 13.084
S 7.361 2.276 5.631
S 5.499 4.531 1.904
S 1.378 2.305 16.788
S 3.207 0.515 13.076
S -1.097 7.247 20.490
S 6.717 2.478 13.087
S 1.196 7.248 9.327
P 1.362 2.909 9.291
P -1.651 7.475 5.587
P 5.511 0.474 1.918
P 5.696 5.222 16.824
P 3.023 5.208 5.608
P -1.287 2.959 20.482
P 2.013 2.485 1.857
P 1.710 7.490 16.823
P -2.443 4.876 9.290
Zr 4.343 7.497 3.244
Zr 4.359 7.457 14.518
Zr 0.024 4.978 0.579
Zr 0.009 4.987 11.711
Zr 8.668 0.025 19.150
Zr -4.224 7.462 7.920
Na 4.501 2.531 18.694
Na 0.102 5.084 3.893
Na 4.286 2.559 7.402
```

## Properties
For the calculated formation energy, the calculation gives -2.7420 eV per atom. As for the space group: No. 1. The calculation puts the magnetic moment at 0.00 μB per cell. The value obtained for the total energy is -7.223 eV/atom.

# 2
NaZrAlP2SO12 | PBE | relaxed

```
108
Lattice="8.697 0.000 0.000 -4.349 7.504 -0.082 0.000 -0.250 22.625" Properties=species:S:1:pos:R:3 pbc="T T T"
P 1.826 7.231 16.863
P -1.137 6.993 20.627
P 1.137 2.032 16.911
P 5.486 4.699 1.800
P 1.826 2.395 1.834
P -1.826 7.356 5.550
P 2.523 4.689 20.661
P -2.523 4.813 9.348
P 1.137 7.117 9.314
P -1.137 2.157 5.598
P 6.871 2.271 13.147
P 3.211 4.575 13.112
O 2.709 2.214 0.590
O 5.093 3.841 16.804
O 5.885 2.512 20.849
O 4.834 0.994 9.617
O 2.677 2.216 16.783
O 5.988 2.089 11.902
O 6.021 2.504 14.406
O 0.946 5.983 17.058
O -0.743 3.211 21.895
O 5.091 0.918 3.068
O 0.563 6.400 8.078
O 1.639 4.507 19.417
O -0.745 1.299 20.603
O 7.025 -0.039 18.204
O 6.020 2.341 5.470
O 4.911 3.982 0.563
O 1.058 3.587 8.168
O -3.291 6.005 15.682
O 5.407 1.169 0.654
O 1.672 4.922 21.920
O -2.709 7.175 4.306
O 1.537 0.094 13.335
O 3.864 5.955 13.333
O -0.485 3.537 5.818
O -3.431 6.062 9.219
O 4.833 6.079 2.020
O 3.864 0.869 20.929
O -0.745 6.384 13.006
O 0.743 3.336 10.583
O -1.671 4.884 1.672
O 0.946 1.147 2.029
O 0.969 1.163 18.175
O -1.639 4.632 8.104
O 1.671 4.759 12.985
O -0.918 3.520 13.017
O 5.294 3.565 9.543
O -2.677 7.177 20.499
O 0.918 3.644 1.705
O 3.403 3.440 20.856
O 2.812 2.637 9.536
O 1.672 0.086 6.892
O -1.672 5.046 10.608
O 0.969 6.248 10.579
O 7.751 1.022 13.342
O -1.537 5.054 17.051
O 3.379 3.706 14.377
O 7.160 0.219 2.022
O 3.431 5.938 20.532
O 5.318 3.830 3.064
O 0.485 3.412 17.131
O 5.266 0.977 16.816
O 3.291 1.044 11.966
O 5.091 5.754 18.097
O -0.563 1.439 4.362
O 3.606 5.879 6.784
O 3.604 3.966 5.492
O 3.606 0.793 14.381
O 2.677 7.302 9.186
O -0.563 6.275 19.390
O 0.563 1.314 15.674
O -1.058 3.462 19.481
O 3.431 1.102 5.503
O -0.946 6.108 5.745
O 2.676 2.628 3.093
O 7.728 1.288 6.862
O 1.537 5.179 5.738
O 0.745 1.423 9.290
O -0.969 6.124 21.891
O 0.745 6.509 1.693
O 3.786 3.857 11.876
O 3.291 6.130 4.370
O 2.709 7.050 15.618
Zr -0.015 5.017 0.432
Zr 8.682 -0.069 8.029
Zr 4.364 2.474 4.230
Zr 4.333 2.349 15.543
Zr 0.015 4.892 11.745
Zr 0.015 -0.194 19.341
Na 4.279 2.224 18.920
Na 4.279 7.310 11.323
Na 4.418 2.349 7.607
Na 0.069 4.767 15.122
Na -4.279 7.435 0.011
Na -0.069 4.892 3.809
S 2.983 0.240 13.157
S -1.365 2.658 20.672
S 1.365 2.783 9.359
S -2.983 5.201 16.873
S 2.983 5.325 5.561
S 5.714 0.365 1.844
Al 4.536 2.458 10.842
Al 8.510 -0.085 14.641
Al -0.187 5.000 7.044
Al 0.187 0.040 3.328
Al 4.161 2.333 22.155
Al 0.187 4.876 18.357
```

## Properties
For the calculated formation energy, the calculation gives -2.8327 eV per atom. The calculation puts the magnetic moment at 0.00 μB per cell. The value obtained for the total energy is -7.261 eV/atom.

# 3
Na7Sc2Al2SiP5O24 | PBE | relaxed

```
123
Lattice="-8.442 1.373 -2.344 2.081 -6.843 5.227 -2.946 12.697 17.703" Properties=species:S:1:pos:R:3 pbc="T T T"
Na -7.848 0.222 5.379
Na -9.451 8.428 17.479
Na -0.532 2.645 13.872
Na -7.802 0.909 11.657
Na 0.212 -1.203 3.189
Na -3.220 3.187 17.646
Na -5.915 2.862 6.072
Na -3.986 5.512 6.781
Na -0.069 -0.015 0.025
Na -8.562 12.344 14.742
Na -9.872 8.468 12.861
Na -5.301 1.694 13.856
Na -3.082 1.172 5.512
Na -0.789 -5.161 5.838
Na -3.416 4.321 14.524
Na -3.595 5.549 11.287
Na -7.321 9.240 14.950
Na -6.261 6.012 15.137
Na -4.463 -2.783 3.531
Na -1.951 -2.028 5.711
Na -8.752 4.557 6.642
O -5.726 0.276 -0.435
O -5.574 7.882 13.784
O -3.758 7.069 20.906
O -0.419 1.153 4.408
O -9.284 10.367 16.152
O -6.616 3.306 15.422
O -6.027 -0.370 10.404
O -8.201 7.046 13.967
O -2.173 4.098 7.893
O -0.242 -3.316 4.368
O -5.425 1.805 1.556
O -5.868 8.387 19.619
O -7.276 2.195 -0.210
O -0.700 3.292 16.479
O -3.712 -0.081 3.324
O -2.682 7.706 17.483
O -1.445 0.267 2.135
O -4.773 4.729 16.554
O -6.404 5.293 6.584
O -2.140 -1.985 3.110
O -4.612 3.534 8.090
O -6.837 -0.456 3.101
O -7.208 2.186 4.051
O -2.500 4.024 5.148
O -4.299 2.673 4.136
O -3.258 -0.978 1.004
O -2.910 2.032 13.673
O -0.899 0.328 9.354
O -3.145 7.502 13.016
O -8.834 4.089 4.092
O -6.668 11.487 15.800
O -5.438 0.430 5.553
O -9.683 7.607 8.995
O -6.337 3.959 10.547
O -7.587 9.269 12.538
O -3.730 -0.739 6.977
O -1.934 4.034 12.391
O -3.845 6.774 15.260
O -3.183 7.627 10.017
O -3.790 9.298 14.673
O -4.517 3.555 12.332
O -7.046 9.107 17.405
O -1.565 -1.964 8.204
O -8.092 5.736 8.897
O -9.269 11.196 12.596
O -2.235 5.219 16.618
O -5.543 -2.115 5.861
O -3.498 -0.613 9.694
O -6.036 -2.321 1.360
O -7.537 3.040 8.008
O -2.106 5.251 20.828
O -7.704 7.053 18.660
O -3.238 9.358 19.368
O -1.210 0.261 6.607
O -8.951 6.211 16.151
O 0.253 -0.526 11.526
O -2.990 1.638 8.069
O -6.891 -3.142 3.685
O -2.521 10.296 17.186
O 0.007 -3.899 8.101
O -1.317 1.410 11.629
O -6.980 3.019 12.702
O -6.105 5.434 12.589
O -5.465 7.183 17.387
O -6.255 -0.495 7.687
O -4.215 1.003 11.517
O -2.964 3.209 10.088
O -5.059 6.184 8.998
O -2.730 -4.160 4.557
O -8.633 6.749 11.174
O -3.750 5.509 18.876
O -5.770 8.058 10.776
Sc -7.792 11.068 17.597
Sc -6.301 4.675 8.673
Sc -2.534 10.803 15.153
Sc -5.529 1.024 3.439
Sc -6.933 7.352 12.219
Sc -8.267 2.798 14.405
P -0.801 4.755 16.986
P -5.237 -0.763 6.560
P -3.202 3.091 8.550
P -2.639 -0.700 2.392
P -0.255 0.714 10.719
P -5.977 3.992 12.036
P -2.365 9.083 18.128
P -9.187 6.368 9.774
P -4.519 -0.350 10.817
P -1.059 -3.206 9.008
P -6.479 7.950 18.264
P -5.813 1.742 0.063
P -3.548 5.613 20.413
P -4.084 7.873 14.194
P -0.181 1.264 5.946
Al -3.857 6.252 17.154
Al -2.404 -0.142 8.298
Al -7.347 -0.972 9.087
Al -6.791 -3.515 5.536
Al -1.452 -3.870 3.024
Al -2.968 2.403 11.838
Si -6.017 3.713 16.889
Si -7.120 -1.973 2.543
Si -4.747 7.685 9.548
```

## Properties
For the calculated formation energy, the calculation gives -2.9586 eV per atom. As for the space group: No. 1. The calculation puts the magnetic moment at 0.00 μB per cell. The value obtained for the total energy is -6.963 eV/atom.

> Which value of magnetic moment does entry 1 give?

0.00 μB per cell